The following is a GGA-PBE calculation of crystalline Pd3N2 at its relaxed geometry, from the Materials Project database.

Crystal system: tetragonal
Theoretical density in Mg/m³: 8.972

a b c (Å): 2.9532 2.9532 7.3698
angles (deg): 90.00 90.00 90.00
Space group P4/mmm (No. 123)
Unique sites:
Pd (0.0000, 0.0000, 0.0000) (multiplicity 1)
Pd (0.5000, 0.5000, 0.3160) (multiplicity 2)
N (0.0000, 0.0000, 0.2739) (multiplicity 2)



The following is a GGA-PBE calculation of crystalline PdN at its relaxed geometry, from the Materials Project database.

Crystal system: hexagonal
Distance to the lowest polymorph of the same formula in eV per atom: 0.524
Theoretical density in Mg/m³: 4.525

a b c (Å): 3.3773 3.3773 8.9468
angles (deg): 90.00 90.00 120.00
Space group P6_3/mmc (No. 194)
Unique sites:
Pd (0.3333, 0.6667, 0.2500) (multiplicity 2)
N (0.3333, 0.6667, 0.7500) (multiplicity 2)



Calculated E (MP2020) (eV/atom), listed in the same order as above: -5.908; -5.571
Calculated ΔH_f (0 K) (eV/atom), listed in the same order as above: 0.53; 1.19